First-principles (PBE) data for an optimized crystal structure of Na3SiSn4P5O24, as listed in the Materials Project.

Computed properties:
Its total moment is 0.0 μB/f.u.

a = 8.786 Å, b = 8.803 Å, c = 22.866 Å
α = 90.11°, β = 90.13°, γ = 119.91°
Fractional coordinates of all 111 atoms:
Na 0.000 0.000 0.000
Na 0.003 0.007 0.500
Na 0.328 0.664 0.666
Na 0.334 0.668 0.166
Na 0.363 0.004 0.249
Na 0.641 0.009 0.751
Na 0.666 0.344 0.833
Na 0.679 0.351 0.333
Na 0.969 0.306 0.915
Si 0.000 0.714 0.250
Si 0.007 0.302 0.749
Si 0.626 0.963 0.916
Sn 0.000 0.004 0.852
Sn 0.001 0.004 0.353
Sn 0.003 0.004 0.147
Sn 0.006 0.011 0.646
Sn 0.333 0.669 0.315
Sn 0.333 0.671 0.814
Sn 0.336 0.673 0.519
Sn 0.341 0.678 0.019
Sn 0.665 0.337 0.981
Sn 0.670 0.341 0.481
Sn 0.673 0.345 0.684
Sn 0.677 0.348 0.185
P 0.044 0.381 0.417
P 0.046 0.677 0.917
P 0.292 0.007 0.749
P 0.292 0.299 0.249
P 0.337 0.966 0.417
P 0.339 0.384 0.917
P 0.377 0.049 0.084
P 0.379 0.340 0.582
P 0.628 0.674 0.417
P 0.669 0.048 0.583
P 0.669 0.632 0.083
P 0.713 0.007 0.250
P 0.713 0.714 0.749
P 0.962 0.634 0.583
P 0.964 0.341 0.082
O 0.027 0.198 0.410
O 0.030 0.842 0.910
O 0.039 0.216 0.692
O 0.051 0.841 0.193
O 0.119 0.632 0.863
O 0.122 0.493 0.362
O 0.146 0.651 0.577
O 0.147 0.507 0.077
O 0.156 0.706 0.973
O 0.158 0.460 0.472
O 0.172 0.201 0.911
O 0.173 0.987 0.411
O 0.179 0.496 0.755
O 0.180 0.222 0.194
O 0.180 0.970 0.694
O 0.183 0.704 0.256
O 0.195 0.034 0.088
O 0.196 0.174 0.587
O 0.215 0.040 0.805
O 0.216 0.183 0.304
O 0.294 0.458 0.971
O 0.304 0.851 0.471
O 0.316 0.483 0.256
O 0.320 0.847 0.755
O 0.359 0.866 0.079
O 0.361 0.506 0.577
O 0.371 0.494 0.861
O 0.371 0.891 0.360
O 0.458 0.163 0.029
O 0.459 0.308 0.527
O 0.473 0.306 0.243
O 0.478 0.171 0.743
O 0.488 0.127 0.141
O 0.492 0.375 0.638
O 0.501 0.647 0.078
O 0.503 0.865 0.577
O 0.504 0.150 0.423
O 0.505 0.368 0.923
O 0.514 0.888 0.855
O 0.515 0.640 0.361
O 0.528 0.844 0.256
O 0.533 0.705 0.755
O 0.545 0.845 0.974
O 0.547 0.707 0.472
O 0.635 0.124 0.639
O 0.635 0.519 0.138
O 0.646 0.508 0.422
O 0.656 0.163 0.922
O 0.683 0.166 0.243
O 0.690 0.530 0.743
O 0.703 0.163 0.528
O 0.704 0.552 0.027
O 0.791 0.831 0.695
O 0.791 0.975 0.194
O 0.810 0.841 0.412
O 0.824 0.310 0.744
O 0.825 0.790 0.804
O 0.826 0.046 0.305
O 0.826 0.992 0.912
O 0.828 0.520 0.245
O 0.834 0.028 0.588
O 0.834 0.816 0.088
O 0.849 0.554 0.527
O 0.855 0.308 0.026
O 0.860 0.363 0.423
O 0.863 0.508 0.923
O 0.884 0.374 0.137
O 0.885 0.521 0.638
O 0.961 0.182 0.809
O 0.967 0.798 0.308
O 0.980 0.817 0.589
O 0.981 0.174 0.089

---

First-principles (PBE) data for an optimized crystal structure of Dy2S2O, as listed in the Materials Project.

Computed properties:
The energy relative to the lowest polymorph listed for this composition is 0.5 kJ/mol of atoms.

a = 15.635 Å, b = 3.813 Å, c = 6.748 Å
α = 90.00°, β = 90.00°, γ = 90.00°
Fractional coordinates of all 20 atoms:
Dy 0.041 0.250 0.206
Dy 0.165 0.250 0.756
Dy 0.335 0.750 0.256
Dy 0.459 0.750 0.706
Dy 0.541 0.250 0.294
Dy 0.665 0.250 0.744
Dy 0.835 0.750 0.244
Dy 0.959 0.750 0.794
S 0.100 0.750 0.513
S 0.181 0.750 0.046
S 0.319 0.250 0.546
S 0.400 0.250 0.013
S 0.600 0.750 0.987
S 0.681 0.750 0.454
S 0.819 0.250 0.954
S 0.900 0.250 0.487
O 0.031 0.250 0.868
O 0.469 0.750 0.368
O 0.531 0.250 0.632
O 0.969 0.750 0.132

---

First-principles (PBE) data for an optimized crystal structure of KW3Br7, as listed in the Materials Project.

Computed properties:
Its total moment is 0.0 μB/f.u.

a = 14.134 Å, b = 14.398 Å, c = 14.420 Å
α = 90.00°, β = 90.00°, γ = 90.00°
Fractional coordinates of all 88 atoms:
K 0.000 0.000 0.000
K 0.000 0.500 0.500
K 0.250 0.250 0.250
K 0.250 0.250 0.750
K 0.500 0.000 0.500
K 0.500 0.500 0.000
K 0.750 0.750 0.250
K 0.750 0.750 0.750
W 0.031 0.120 0.459
W 0.031 0.380 0.041
W 0.041 0.032 0.620
W 0.041 0.468 0.880
W 0.123 0.540 0.029
W 0.123 0.960 0.471
W 0.377 0.540 0.471
W 0.377 0.960 0.029
W 0.459 0.032 0.880
W 0.459 0.468 0.620
W 0.469 0.120 0.041
W 0.469 0.380 0.459
W 0.531 0.620 0.541
W 0.531 0.880 0.959
W 0.541 0.532 0.380
W 0.541 0.968 0.120
W 0.623 0.040 0.971
W 0.623 0.460 0.529
W 0.877 0.040 0.529
W 0.877 0.460 0.971
W 0.959 0.532 0.120
W 0.959 0.968 0.380
W 0.969 0.620 0.959
W 0.969 0.880 0.541
Br 0.052 0.691 0.108
Br 0.052 0.809 0.392
Br 0.076 0.210 0.096
Br 0.076 0.290 0.404
Br 0.096 0.077 0.790
Br 0.096 0.423 0.710
Br 0.112 0.048 0.309
Br 0.112 0.452 0.191
Br 0.132 0.629 0.868
Br 0.132 0.871 0.632
Br 0.194 0.112 0.549
Br 0.194 0.388 0.951
Br 0.206 0.593 0.429
Br 0.206 0.907 0.071
Br 0.294 0.593 0.071
Br 0.294 0.907 0.429
Br 0.306 0.112 0.951
Br 0.306 0.388 0.549
Br 0.368 0.629 0.632
Br 0.368 0.871 0.868
Br 0.388 0.048 0.191
Br 0.388 0.452 0.309
Br 0.404 0.077 0.710
Br 0.404 0.423 0.790
Br 0.424 0.210 0.404
Br 0.424 0.290 0.096
Br 0.448 0.691 0.392
Br 0.448 0.809 0.108
Br 0.552 0.191 0.892
Br 0.552 0.309 0.608
Br 0.576 0.710 0.904
Br 0.576 0.790 0.596
Br 0.596 0.577 0.210
Br 0.596 0.923 0.290
Br 0.612 0.548 0.691
Br 0.612 0.952 0.809
Br 0.632 0.129 0.132
Br 0.632 0.371 0.368
Br 0.694 0.612 0.451
Br 0.694 0.888 0.049
Br 0.706 0.093 0.571
Br 0.706 0.407 0.929
Br 0.794 0.093 0.929
Br 0.794 0.407 0.571
Br 0.806 0.612 0.049
Br 0.806 0.888 0.451
Br 0.868 0.129 0.368
Br 0.868 0.371 0.132
Br 0.888 0.548 0.809
Br 0.888 0.952 0.691
Br 0.904 0.577 0.290
Br 0.904 0.923 0.210
Br 0.924 0.710 0.596
Br 0.924 0.790 0.904
Br 0.948 0.191 0.608
Br 0.948 0.309 0.892

---

First-principles (PBE) data for an optimized crystal structure of ReC5BrO5, as listed in the Materials Project.

Computed properties:
Its total moment is 0.0 μB/f.u.

a = 12.175 Å, b = 11.780 Å, c = 6.190 Å
α = 90.00°, β = 90.00°, γ = 90.00°
Fractional coordinates of all 48 atoms:
Re 0.125 0.250 0.044
Re 0.375 0.750 0.544
Re 0.625 0.250 0.456
Re 0.875 0.750 0.956
C 0.028 0.250 0.796
C 0.035 0.127 0.185
C 0.035 0.373 0.185
C 0.221 0.128 0.916
C 0.221 0.372 0.916
C 0.279 0.628 0.416
C 0.279 0.872 0.416
C 0.465 0.627 0.685
C 0.465 0.873 0.685
C 0.472 0.750 0.296
C 0.528 0.250 0.704
C 0.535 0.127 0.315
C 0.535 0.373 0.315
C 0.721 0.128 0.584
C 0.721 0.372 0.584
C 0.779 0.628 0.084
C 0.779 0.872 0.084
C 0.965 0.627 0.815
C 0.965 0.873 0.815
C 0.972 0.750 0.204
Br 0.247 0.750 0.890
Br 0.253 0.250 0.390
Br 0.747 0.750 0.610
Br 0.753 0.250 0.110
O 0.016 0.554 0.739
O 0.016 0.946 0.739
O 0.035 0.750 0.346
O 0.226 0.556 0.347
O 0.226 0.944 0.347
O 0.274 0.056 0.847
O 0.274 0.444 0.847
O 0.465 0.250 0.846
O 0.484 0.054 0.239
O 0.484 0.446 0.239
O 0.516 0.554 0.761
O 0.516 0.946 0.761
O 0.535 0.750 0.154
O 0.726 0.556 0.153
O 0.726 0.944 0.153
O 0.774 0.056 0.653
O 0.774 0.444 0.653
O 0.965 0.250 0.654
O 0.984 0.054 0.261
O 0.984 0.446 0.261

---

no.,V (Å³ per cell),energy (eV per cell),energy relative to the elements (meV/atom)
1,1533,-745.978,-2538
2,402,-142.306,-2967
3,2935,-475.559,-1067
4,888,-374.682,-1012